1.
Compound: Ti3V3Ge5
Source: Materials Project
Functional: GGA-PBE
Structure: optimized geometry

Cell lengths 5.087, 7.818, 9.524 Å; angles 65.68, 74.51, 90.00 degrees
Atoms (fractional coordinates):
V  0.058  0.309  0.383
V  0.942  0.691  0.617
V  0.441  0.691  0.617
V  0.559  0.309  0.383
V  0.436  0.193  0.128
V  0.564  0.807  0.872
Ge  0.746  0.000  0.000
Ge  0.787  0.586  0.426
Ge  0.931  0.336  0.138
Ge  0.568  0.477  0.865
Ge  0.069  0.664  0.862
Ge  0.432  0.523  0.135
Ge  0.254  0.000  0.000
Ge  0.213  0.414  0.574
Ge  0.711  0.010  0.577
Ge  0.289  0.990  0.423
Ti  0.642  0.254  0.715
Ti  0.358  0.746  0.285
Ti  0.936  0.678  0.128
Ti  0.064  0.322  0.872
Ti  0.142  0.031  0.716
Ti  0.858  0.969  0.284

As for the space group: C2/m (12). The calculation puts the electronic total energy at -160.15 eV for the cell shown. The calculation puts the offset from the most stable computed form at 0.0 meV/atom. The calculation puts the formation energy at -0.5473 eV/atom.

2.
Compound: SmNiSb
Source: Materials Project
Functional: GGA-PBE
Structure: optimized geometry

Cell lengths 4.109, 4.341, 4.343 Å; angles 119.99, 90.00, 90.00 degrees
Atoms (fractional coordinates):
Sm  0.000  0.000  0.000
Sb  0.500  0.666  0.333
Ni  0.500  0.333  0.667

As for the space group: P-6m2 (187). The calculation puts the electronic total energy at -17.06 eV for the cell shown. The value obtained for the energy with MP2020 corrections is -5.751 eV/atom. The calculation puts the formation energy at -0.8746 eV/atom.

3.
Compound: TbCoSi
Source: Materials Project
Functional: GGA-PBE
Structure: optimized geometry

Cell lengths 4.216, 6.828, 6.976 Å; angles 90.00, 90.00, 90.00 degrees
Atoms (fractional coordinates):
Si  0.250  0.893  0.692
Si  0.250  0.607  0.192
Si  0.750  0.107  0.308
Si  0.750  0.393  0.808
Tb  0.750  0.684  0.479
Tb  0.750  0.816  0.979
Tb  0.250  0.316  0.521
Tb  0.250  0.184  0.021
Co  0.250  0.932  0.357
Co  0.750  0.432  0.143
Co  0.750  0.068  0.643
Co  0.250  0.568  0.857

As for the space group: Pnma (62). The calculation puts the electronic total energy at -77.19 eV for the cell shown. The value obtained for the energy with MP2020 corrections is -6.409 eV/atom. The calculation puts the formation energy at -0.6859 eV/atom.

4.
Compound: Sr2LiSiO4F
Source: Materials Project
Functional: GGA-PBE
Structure: optimized geometry

Cell lengths 5.466, 6.638, 6.997 Å; angles 67.71, 90.00, 90.00 degrees
Atoms (fractional coordinates):
Si  0.750  0.655  0.665
Si  0.250  0.345  0.335
Sr  0.250  0.365  0.898
Sr  0.750  0.159  0.626
Sr  0.250  0.841  0.374
Sr  0.750  0.635  0.102
Li  0.750  0.148  0.119
Li  0.250  0.852  0.881
F  0.000  0.000  0.000
F  0.500  0.000  0.000
O  0.250  0.596  0.158
O  0.250  0.337  0.571
O  0.993  0.776  0.711
O  0.507  0.776  0.711
O  0.750  0.663  0.429
O  0.493  0.224  0.289
O  0.750  0.404  0.842
O  0.007  0.224  0.289

As for the space group: P2_1/m (11). The calculation puts the electronic total energy at -118.98 eV for the cell shown. The value obtained for the energy with MP2020 corrections is -6.966 eV/atom. The calculation puts the formation energy at -3.3643 eV/atom.

5.
Compound: UBiTe
Source: Materials Project
Functional: GGA-PBE
Structure: optimized geometry

Cell lengths 4.424, 4.424, 9.144 Å; angles 90.00, 90.00, 90.00 degrees
Atoms (fractional coordinates):
Bi  0.500  0.500  0.000
Bi  0.000  0.000  0.000
U  0.000  0.500  0.716
U  0.500  0.000  0.284
Te  0.500  0.000  0.635
Te  0.000  0.500  0.365

As for the space group: P4/nmm (129). The calculation puts the electronic total energy at -39.16 eV for the cell shown. The value obtained for the energy with MP2020 corrections is -6.668 eV/atom. The calculation puts the formation energy at -0.5596 eV/atom.

6.
Compound: CrCoPt2
Source: Materials Project
Functional: GGA-PBE
Structure: optimized geometry

Cell lengths 3.817, 3.817, 3.756 Å; angles 90.00, 90.00, 90.00 degrees
Atoms (fractional coordinates):
Pt  0.500  0.000  0.500
Pt  0.000  0.500  0.500
Co  0.500  0.500  0.000
Cr  0.000  0.000  0.000

As for the space group: P4/mmm (123). The calculation puts the electronic total energy at -29.45 eV for the cell shown. The calculation puts the offset from the most stable computed form at 0.0 meV/atom. The calculation puts the formation energy at -0.1365 eV/atom.

7.
Compound: BiBr3
Source: Materials Project
Functional: GGA-PBE
Structure: optimized geometry

Cell lengths 12.729, 7.421, 7.531 Å; angles 71.36, 90.00, 90.00 degrees
Atoms (fractional coordinates):
Br  0.327  0.229  0.782
Br  0.992  0.786  0.236
Br  0.316  0.717  0.249
Br  0.492  0.714  0.764
Br  0.173  0.729  0.782
Br  0.684  0.283  0.751
Br  0.008  0.214  0.764
Br  0.827  0.271  0.218
Br  0.673  0.771  0.218
Br  0.184  0.217  0.249
Br  0.508  0.286  0.236
Br  0.816  0.783  0.751
Bi  0.167  0.980  0.009
Bi  0.667  0.520  0.991
Bi  0.833  0.020  0.991
Bi  0.333  0.480  0.009

As for the space group: P2_1/c (14). The calculation puts the electronic total energy at -47.55 eV for the cell shown. The value obtained for the energy with MP2020 corrections is -3.372 eV/atom. The calculation puts the formation energy at -1.1722 eV/atom.

8.
Compound: NaCu2H3O10
Source: Materials Project
Functional: GGA-PBE
Structure: optimized geometry

Cell lengths 6.214, 6.214, 6.871 Å; angles 67.02, 67.02, 57.02 degrees
Atoms (fractional coordinates):
O  0.852  0.852  0.471
O  0.020  0.409  0.818
O  0.591  0.980  0.182
O  0.279  0.279  0.832
O  0.572  0.572  0.595
O  0.721  0.721  0.168
O  0.980  0.591  0.182
O  0.409  0.020  0.818
O  0.148  0.148  0.529
O  0.428  0.428  0.405
Cu  0.000  0.500  0.500
Cu  0.500  0.000  0.500
Na  0.000  0.000  0.000
H  0.500  0.500  0.500
H  0.505  0.505  0.748
H  0.495  0.495  0.252

As for the space group: C2/m (12). The calculation puts the electronic total energy at -75.21 eV for the cell shown. The value obtained for the energy with MP2020 corrections is -5.130 eV/atom. The calculation puts the formation energy at -0.8065 eV/atom.

Which of these has the highest electronic total energy? SmNiSb

The lowest electronic total energy belongs to which entry? Ti3V3Ge5

What did the seventh record say?
Compound: BiBr3
Source: Materials Project
Functional: GGA-PBE
Structure: optimized geometry

Cell lengths 12.729, 7.421, 7.531 Å; angles 71.36, 90.00, 90.00 degrees
Atoms (fractional coordinates):
Br  0.327  0.229  0.782
Br  0.992  0.786  0.236
Br  0.316  0.717  0.249
Br  0.492  0.714  0.764
Br  0.173  0.729  0.782
Br  0.684  0.283  0.751
Br  0.008  0.214  0.764
Br  0.827  0.271  0.218
Br  0.673  0.771  0.218
Br  0.184  0.217  0.249
Br  0.508  0.286  0.236
Br  0.816  0.783  0.751
Bi  0.167  0.980  0.009
Bi  0.667  0.520  0.991
Bi  0.833  0.020  0.991
Bi  0.333  0.480  0.009

As for the space group: P2_1/c (14). The calculation puts the electronic total energy at -47.55 eV for the cell shown. The value obtained for the energy with MP2020 corrections is -3.372 eV/atom. The calculation puts the formation energy at -1.1722 eV/atom.

Among the records above, which one has the highest electronic total energy? SmNiSb